(1)
A plane-wave DFT calculation with GGA-PBE was carried out for Na2SrP4O12 after structural relaxation.

Summary:
* total energy: -6.87 eV/atom

a b c (Å): 9.9736 9.9736 5.0562
angles (deg): 90.00 90.00 90.00
Space group P4/nbm (No. 125, origin choice 2)
Inequivalent atoms, fractional coordinates:
Na (0.0000, 0.0000, 0.0000) x4
Sr (0.2500, 0.2500, 0.0000) x2
P (0.0379, 0.7500, 0.5000) x8
O (0.0363, 0.1894, 0.2718) x16
O (0.1401, 0.6401, 0.6304) x8

(2)
A plane-wave DFT calculation with GGA-PBE was carried out for RbGdTe4 after structural relaxation.

Summary:
* total energy: -5.55 eV/atom

a b c (Å): 6.8804 6.8804 9.2631
angles (deg): 90.00 90.00 90.00
Space group P4/nbm (No. 125, origin choice 2)
Inequivalent atoms, fractional coordinates:
Rb (0.2500, 0.2500, 0.0000) x2
Gd (0.2500, 0.2500, 0.5000) x2
Te (0.1042, 0.6042, 0.2976) x8

(3)
A plane-wave DFT calculation with GGA-PBE was carried out for NaPrHg2 after structural relaxation.

Summary:
* total energy: -2.06 eV/atom

a b c (Å): 7.5278 7.5278 7.5278
angles (deg): 90.00 90.00 90.00
Space group Fm-3m (No. 225)
Inequivalent atoms, fractional coordinates:
Na (0.0000, 0.0000, 0.0000) x4
Pr (0.0000, 0.0000, 0.5000) x4
Hg (0.2500, 0.2500, 0.2500) x8

(4)
A plane-wave DFT calculation with GGA-PBE was carried out for Mg2CrCo3S8 after structural relaxation.

Summary:
* total energy: -5.49 eV/atom

a b c (Å): 12.0893 7.0224 6.9795
angles (deg): 90.00 125.03 90.00
Space group C2/m (No. 12)
Inequivalent atoms, fractional coordinates:
Mg (0.1246, 0.0000, 0.3754) x4
Cr (0.0000, 0.5000, 0.0000) x2
Co (0.0000, 0.5000, 0.5000) x2
Co (0.2500, 0.2500, 0.0000) x4
S (0.0187, 0.2810, 0.7623) x8
S (0.2311, 0.5000, 0.7691) x4
S (0.2375, 0.5000, 0.1995) x4

(5)
A plane-wave DFT calculation with GGA-PBE was carried out for MgCd2Bi2O6 after structural relaxation.

Summary:
* total energy: -5.05 eV/atom

a b c (Å): 5.7615 5.7615 17.5340
angles (deg): 90.00 90.00 120.00
Space group R-3 (No. 148, hexagonal axes)
Inequivalent atoms, fractional coordinates:
Mg (0.0000, 0.0000, 0.0000) x3
Cd (0.0000, 0.0000, 0.3721) x6
Bi (0.0000, 0.0000, 0.1921) x6
O (0.0054, 0.6261, 0.5953) x18

(6)
A plane-wave DFT calculation with GGA-PBE was carried out for GdH2 after structural relaxation.

Summary:
* total energy: -7.61 eV/atom

a b c (Å): 5.3133 5.3133 5.3133
angles (deg): 90.00 90.00 90.00
Space group Fm-3m (No. 225)
Inequivalent atoms, fractional coordinates:
Gd (0.0000, 0.0000, 0.0000) x4
H (0.2500, 0.2500, 0.2500) x8

(7)
A plane-wave DFT calculation with GGA-PBE was carried out for TaAs3 after structural relaxation.

Summary:
* total energy: -6.16 eV/atom

a b c (Å): 3.9849 3.9849 8.9694
angles (deg): 90.00 90.00 90.00
Space group I4/mmm (No. 139)
Inequivalent atoms, fractional coordinates:
Ta (0.0000, 0.0000, 0.0000) x2
As (0.0000, 0.0000, 0.5000) x2
As (0.0000, 0.5000, 0.2500) x4

(8)
A plane-wave DFT calculation with GGA-PBE was carried out for Tl4Si5O12 after structural relaxation.

Summary:
* total energy: -6.81 eV/atom

a b c (Å): 9.3752 11.8016 13.3276
angles (deg): 90.00 94.56 90.00
Space group C2/c (No. 15)
Inequivalent atoms, fractional coordinates:
Tl (0.1044, 0.0290, 0.3772) x8
Tl (0.1685, 0.2023, 0.6321) x8
Si (0.0000, 0.4895, 0.2500) x4
Si (0.0582, 0.3042, 0.0821) x8
Si (0.2256, 0.3925, 0.8980) x8
O (0.0531, 0.4125, 0.1593) x8
O (0.0924, 0.2388, 0.4361) x8
O (0.1069, 0.3548, 0.9754) x8
O (0.1335, 0.4308, 0.7920) x8
O (0.1673, 0.0091, 0.0594) x8
O (0.1872, 0.2222, 0.1325) x8

(9)
A plane-wave DFT calculation with GGA-PBE was carried out for NpAs2 after structural relaxation.

Summary:
* total energy: -7.99 eV/atom

a b c (Å): 3.9662 3.9662 8.0771
angles (deg): 90.00 90.00 90.00
Space group P4/nmm (No. 129, origin choice 2)
Inequivalent atoms, fractional coordinates:
Np (0.2500, 0.2500, 0.2137) x2
As (0.2500, 0.2500, 0.8563) x2
As (0.2500, 0.7500, 0.5000) x2

(10)
A plane-wave DFT calculation with GGA-PBE was carried out for LiTi2Te4 after structural relaxation.

Summary:
* total energy: -5.10 eV/atom

a b c (Å): 15.4955 3.8791 6.6730
angles (deg): 90.00 115.30 90.00
Space group C2/m (No. 12)
Inequivalent atoms, fractional coordinates:
Li (0.0000, 0.0000, 0.0000) x2
Ti (0.2489, 0.0000, 0.2386) x4
Te (0.1273, 0.0000, 0.7882) x4
Te (0.1308, 0.5000, 0.3028) x4

(11)
A plane-wave DFT calculation with GGA-PBE was carried out for Pm2NiPd after structural relaxation.

Summary:
* total energy: -5.62 eV/atom

a b c (Å): 7.0993 7.0993 7.0993
angles (deg): 90.00 90.00 90.00
Space group Fm-3m (No. 225)
Inequivalent atoms, fractional coordinates:
Pm (0.2500, 0.2500, 0.2500) x8
Ni (0.0000, 0.0000, 0.0000) x4
Pd (0.0000, 0.0000, 0.5000) x4

(12)
A plane-wave DFT calculation with GGA-PBE was carried out for Hf3Ge after structural relaxation.

Summary:
* total energy: -9.09 eV/atom

a b c (Å): 10.9842 10.9842 5.4145
angles (deg): 90.00 90.00 90.00
Space group P4_2/n (No. 86, origin choice 2)
Inequivalent atoms, fractional coordinates:
Hf (0.0332, 0.9339, 0.2469) x8
Hf (0.1084, 0.2751, 0.0260) x8
Hf (0.1445, 0.8335, 0.7245) x8
Ge (0.0459, 0.2881, 0.5318) x8